Record 1
# Mn6Si7Ni16 PBE-GGA relaxed
# uncorrected energy: -6.83 eV/atom
# calculated formation energy: -0.4337 eV per atom
data_Mn6Si7Ni16
_cell_length_a 11.075
_cell_length_b 11.075
_cell_length_c 11.075
_cell_angle_alpha 90.00
_cell_angle_beta 90.00
_cell_angle_gamma 90.00
_space_group_name_H-M_alt 'F m -3 m'
_space_group_IT_number 225
_space_group_name_Hall '-F 4 2 3'
loop_
_atom_site_label
_atom_site_type_symbol
_atom_site_fract_x
_atom_site_fract_y
_atom_site_fract_z
Mn1 Mn 0.000 0.000 0.194
Si1 Si 0.000 0.000 0.500
Si2 Si 0.000 0.250 0.250
Ni1 Ni 0.118 0.118 0.382
Ni2 Ni 0.165 0.165 0.165



Record 2
# Nb4Al PBE-GGA relaxed
# size of the total moment: 0.0 μB per formula unit
# uncorrected energy: -8.94 eV/atom
# calculated formation energy: -0.1092 eV per atom
data_Nb4Al
_cell_length_a 3.425
_cell_length_b 4.518
_cell_length_c 23.102
_cell_angle_alpha 90.00
_cell_angle_beta 90.00
_cell_angle_gamma 90.00
_space_group_name_H-M_alt 'F m m m'
_space_group_IT_number 69
_space_group_name_Hall '-F 2 2'
loop_
_atom_site_label
_atom_site_type_symbol
_atom_site_fract_x
_atom_site_fract_y
_atom_site_fract_z
Nb1 Nb 0.000 0.000 0.096
Nb2 Nb 0.000 0.000 0.301
Al1 Al 0.000 0.000 0.500



Record 3
# Na24In5O15 PBE-GGA relaxed
# size of the total moment: 0.1 μB per formula unit
# uncorrected energy: -3.94 eV/atom
# calculated formation energy: -1.4553 eV per atom
data_Na24In5O15
_cell_length_a 11.272
_cell_length_b 11.272
_cell_length_c 11.272
_cell_angle_alpha 90.00
_cell_angle_beta 90.00
_cell_angle_gamma 90.00
_space_group_name_H-M_alt 'I -4 3 m'
_space_group_IT_number 217
_space_group_name_Hall 'I -4 2 3'
loop_
_atom_site_label
_atom_site_type_symbol
_atom_site_fract_x
_atom_site_fract_y
_atom_site_fract_z
Na1 Na 0.085 0.367 0.367
Na2 Na 0.109 0.109 0.325
In1 In 0.000 0.000 0.000
In2 In 0.144 0.144 0.856
O1 O 0.000 0.000 0.500
O2 O 0.047 0.261 0.739